[1]
Sm2BiO2 PBE relaxed; space-group type = I4/mmm; electronic total energy = -36.33 eV for the cell shown; E_form = -279 kJ per mole of atoms
1.0
-1.986 1.986 6.944
1.986 -1.986 6.944
1.986 1.986 -6.944
Sm Bi O
2 1 2
Direct
0.667 0.667 0.000
0.333 0.333 0.000
0.000 0.000 0.000
0.750 0.250 0.500
0.250 0.750 0.500

=====

[2]
SnBiO4 PBE relaxed; space-group type = I-4m2; electronic total energy = -35.11 eV for the cell shown; E_form = -163 kJ per mole of atoms
1.0
-2.100 2.100 5.475
2.100 -2.100 5.475
2.100 2.100 -5.475
Sn Bi O
1 1 4
Direct
0.750 0.250 0.500
0.000 0.000 0.000
0.942 0.442 0.500
0.210 0.210 0.000
0.790 0.790 0.000
0.558 0.058 0.500